Record 1
Here is V3Cd after structural relaxation from Materials Project. Energies are from GGA-PBE.

Output
E_tot = -6.712 eV/atom
Mass density = 7.23 Mg/m³
Excess energy over the best structure of this formula in the dataset = 0.000 eV/atom
SG = Pm-3n
ΔH_f (0 K) = 0.332 eV per atom

```
8
Lattice="4.958 0.000 0.000 0.000 4.958 0.000 0.000 0.000 4.958" Properties=species:S:1:pos:R:3 pbc="T T T"
V 2.479 3.719 0.000
V 0.000 2.479 1.240
V 1.240 0.000 2.479
V 3.719 0.000 2.479
V 0.000 2.479 3.719
V 2.479 1.240 0.000
Cd 0.000 0.000 0.000
Cd 2.479 2.479 2.479
```

=====

Record 2
Here is Co8RuS8 after structural relaxation from Materials Project. Energies are from GGA-PBE.

Output
E_tot = -6.330 eV/atom
Mass density = 5.74 Mg/m³
E (MP2020) = -0.2413 hartree per atom
SG = Fm-3m
ΔH_f (0 K) = -0.730 eV per atom

```
17
Lattice="4.841 1.798 -4.685 -0.865 -1.656 -6.717 -1.357 4.992 -4.675" Properties=species:S:1:pos:R:3 pbc="T T T"
Co -0.099 -0.175 -5.357
Co 2.718 5.308 -10.720
Co 2.289 4.486 -14.051
Co 0.330 0.647 -2.026
Co -0.343 3.123 -4.344
Co 2.731 1.539 -4.349
Co -0.112 3.595 -11.728
Co 2.962 2.011 -11.733
S -0.388 2.936 -9.651
S 2.355 4.597 -8.674
S 1.964 3.850 -12.058
S 3.007 2.197 -6.426
S 0.028 3.733 -6.421
S 2.591 1.401 -9.656
S 0.264 0.536 -7.403
S 0.655 1.283 -4.019
Ru 1.309 2.567 -8.038
```

=====

Record 3
Here is LaMg16Al12 after structural relaxation from Materials Project. Energies are from GGA-PBE.

Output
E_tot = -2.666 eV/atom
Mass density = 2.36 Mg/m³
Excess energy over the best structure of this formula in the dataset = 0.005 eV/atom
SG = R3m
ΔH_f (0 K) = -0.063 eV per atom

```
29
Lattice="-0.760 4.291 -7.810 -8.497 -1.241 3.559 5.169 5.162 5.747" Properties=species:S:1:pos:R:3 pbc="T T T"
Mg 2.860 4.449 0.983
Mg -1.876 4.641 -1.864
Mg -3.653 3.848 -6.559
Mg 1.006 6.031 -5.813
Mg 0.477 2.752 4.594
Mg -4.268 2.843 1.692
Mg 1.868 7.389 2.129
Mg -2.691 5.393 1.024
Mg -2.432 3.823 4.002
Mg -3.541 0.869 3.950
Mg -0.755 4.262 -7.756
Mg 0.529 6.134 -0.381
Mg -7.240 3.121 0.671
Mg -4.839 3.619 -1.240
Mg -5.335 0.609 -0.329
Mg 0.012 4.849 2.377
Al 2.683 6.777 -2.668
Al -4.401 6.554 -1.242
Al -6.154 0.721 2.551
Al 2.532 4.791 3.942
Al -1.335 2.161 2.015
Al -6.040 2.690 -4.064
Al 0.081 3.215 -0.099
Al -1.945 7.705 -0.849
Al -7.425 1.694 -2.020
Al -2.443 2.032 -0.503
Al -1.226 4.208 -4.656
Al 3.746 6.928 -0.231
La -0.285 1.611 -2.932
```

=====

Record 4
Here is Sc2TlCu3Se5 after structural relaxation from Materials Project. Energies are from GGA-PBE.

Output
E_tot = -4.962 eV/atom
Mass density = 6.24 Mg/m³
E (MP2020) = -0.1902 hartree per atom
SG = Cmcm
ΔH_f (0 K) = -1.103 eV per atom

```
22
Lattice="1.991 -7.175 0.000 1.991 7.175 0.000 0.000 0.000 16.385" Properties=species:S:1:pos:R:3 pbc="T T T"
Se 1.991 -6.264 1.918
Se 1.991 3.595 4.096
Se 1.991 2.498 15.224
Se 1.991 -6.264 6.275
Se 1.991 6.264 10.110
Se 1.991 2.498 9.354
Se 1.991 -2.498 7.031
Se 1.991 6.264 14.467
Se 1.991 -2.498 1.161
Se 1.991 -3.595 12.289
Cu 1.991 5.990 0.587
Cu 1.991 -5.990 15.797
Cu 1.991 5.990 7.605
Cu 1.991 -4.984 4.096
Cu 1.991 4.984 12.289
Cu 1.991 -5.990 8.780
Tl 1.991 -0.930 4.096
Tl 1.991 0.930 12.289
Sc 1.991 -2.754 9.732
Sc 1.991 2.754 1.540
Sc 1.991 -2.754 14.845
Sc 1.991 2.754 6.652
```